# 1
Density functional theory data (r2SCAN) for a geometry-optimized CdCo2O4 structure.

Cell lengths 5.623, 10.842, 4.874 Å; angles 90.00, 90.00, 90.00 degrees
Atoms (fractional coordinates):
Cd 0.250 0.250 0.040
Cd 0.250 0.750 0.366
Cd 0.750 0.250 0.634
Cd 0.750 0.750 0.960
Co 0.000 0.000 0.500
Co 0.000 0.500 0.500
Co 0.250 0.506 0.997
Co 0.250 0.994 0.997
Co 0.500 0.000 0.500
Co 0.500 0.500 0.500
Co 0.750 0.006 0.003
Co 0.750 0.494 0.003
O 0.001 0.596 0.167
O 0.001 0.904 0.167
O 0.250 0.088 0.326
O 0.250 0.412 0.326
O 0.250 0.592 0.659
O 0.250 0.908 0.659
O 0.499 0.596 0.167
O 0.499 0.904 0.167
O 0.501 0.096 0.833
O 0.501 0.404 0.833
O 0.750 0.092 0.341
O 0.750 0.408 0.341
O 0.750 0.588 0.674
O 0.750 0.912 0.674
O 0.999 0.096 0.833
O 0.999 0.404 0.833

Output
DFT total energy   -11.367 eV/atom
Offset from the most stable computed form   0.03 eV/f.u.
Calculated density   6.58 g/cm³
Energy of formation   -1.30 eV/atom
V   297.1 Å³/cell
Space group   Pmmn, No. 59
Magnetic moment   0.000 Bohr magnetons per cell



# 2
Density functional theory data (r2SCAN) for a geometry-optimized CdCo2O4 structure.

Cell lengths 5.911, 5.911, 5.911 Å; angles 60.00, 60.00, 60.00 degrees
Atoms (fractional coordinates):
Cd 0.125 0.125 0.125
Cd 0.875 0.875 0.875
Co 0.000 0.500 0.500
Co 0.500 0.000 0.500
Co 0.500 0.500 0.000
Co 0.500 0.500 0.500
O 0.271 0.271 0.271
O 0.271 0.271 0.686
O 0.271 0.686 0.271
O 0.314 0.729 0.729
O 0.686 0.271 0.271
O 0.729 0.314 0.729
O 0.729 0.729 0.314
O 0.729 0.729 0.729

Output
DFT total energy   -11.371 eV/atom
Offset from the most stable computed form   0.00 eV/f.u.
Calculated density   6.69 g/cm³
Energy of formation   -1.31 eV/atom
V   146.1 Å³/cell
Space group   Fd-3m, No. 227
Magnetic moment   0.000 Bohr magnetons per cell



# 3
Density functional theory data (r2SCAN) for a geometry-optimized CrCdF6 structure.

Cell lengths 5.545, 5.545, 5.545 Å; angles 54.59, 54.59, 54.59 degrees
Atoms (fractional coordinates):
Cr 0.000 0.000 0.000
Cd 0.500 0.500 0.500
F 0.069 0.371 0.786
F 0.214 0.931 0.629
F 0.371 0.786 0.069
F 0.629 0.214 0.931
F 0.786 0.069 0.371
F 0.931 0.629 0.214

Output
DFT total energy   -9.346 eV/atom
Calculated density   4.39 g/cm³
Energy of formation   -2.60 eV/atom
V   105.4 Å³/cell
Space group   R-3, No. 148
Magnetic moment   2.000 Bohr magnetons per cell



# 4
Density functional theory data (r2SCAN) for a geometry-optimized CrCdO4 structure.

Cell lengths 7.134, 7.134, 7.096 Å; angles 98.50, 98.50, 85.96 degrees
Atoms (fractional coordinates):
Cr 0.226 0.226 0.582
Cr 0.245 0.755 0.000
Cr 0.755 0.245 0.000
Cr 0.774 0.774 0.418
Cd 0.289 0.289 0.126
Cd 0.313 0.687 0.500
Cd 0.687 0.313 0.500
Cd 0.711 0.711 0.874
O 0.003 0.280 0.520
O 0.028 0.725 0.900
O 0.275 0.972 0.100
O 0.280 0.003 0.520
O 0.285 0.285 0.812
O 0.297 0.614 0.172
O 0.355 0.355 0.461
O 0.386 0.703 0.828
O 0.614 0.297 0.172
O 0.645 0.645 0.539
O 0.703 0.386 0.828
O 0.715 0.715 0.188
O 0.720 0.997 0.480
O 0.725 0.028 0.900
O 0.972 0.275 0.100
O 0.997 0.720 0.480

Output
DFT total energy   -11.516 eV/atom
Offset from the most stable computed form   0.09 eV/f.u.
Calculated density   4.30 g/cm³
Energy of formation   -1.67 eV/atom
V   352.8 Å³/cell
Space group   C2/m, No. 12
Magnetic moment   0.000 Bohr magnetons per cell



# 5
Density functional theory data (r2SCAN) for a geometry-optimized CrCdO4 structure.

Cell lengths 5.205, 5.205, 6.977 Å; angles 90.00, 90.00, 113.72 degrees
Atoms (fractional coordinates):
Cr 0.139 0.861 0.750
Cr 0.861 0.139 0.250
Cd 0.500 0.500 0.000
Cd 0.500 0.500 0.500
O 0.214 0.271 0.250
O 0.244 0.756 0.559
O 0.244 0.756 0.941
O 0.271 0.214 0.750
O 0.729 0.786 0.250
O 0.756 0.244 0.059
O 0.756 0.244 0.441
O 0.786 0.729 0.750

Output
DFT total energy   -11.531 eV/atom
Offset from the most stable computed form   0.00 eV/f.u.
Calculated density   4.38 g/cm³
Energy of formation   -1.69 eV/atom
V   173.0 Å³/cell
Space group   Cmcm, No. 63
Magnetic moment   0.000 Bohr magnetons per cell



# 6
Density functional theory data (r2SCAN) for a geometry-optimized Cr2CdS4 structure.

Cell lengths 7.275, 7.275, 7.275 Å; angles 60.00, 60.00, 60.00 degrees
Atoms (fractional coordinates):
Cr 0.000 0.000 0.000
Cr 0.000 0.000 0.500
Cr 0.000 0.500 0.000
Cr 0.500 0.000 0.000
Cd 0.375 0.375 0.375
Cd 0.625 0.625 0.625
S 0.204 0.765 0.765
S 0.235 0.235 0.235
S 0.235 0.235 0.796
S 0.235 0.796 0.235
S 0.765 0.204 0.765
S 0.765 0.765 0.204
S 0.765 0.765 0.765
S 0.796 0.235 0.235

Output
DFT total energy   -12.756 eV/atom
Calculated density   4.20 g/cm³
Energy of formation   -0.99 eV/atom
V   272.2 Å³/cell
Space group   Fd-3m, No. 227
Magnetic moment   12.000 Bohr magnetons per cell



# 7
Density functional theory data (r2SCAN) for a geometry-optimized Cr2CdSe4 structure.

Cell lengths 7.653, 7.653, 7.653 Å; angles 60.00, 60.00, 60.00 degrees
Atoms (fractional coordinates):
Cr 0.000 0.000 0.000
Cr 0.000 0.000 0.500
Cr 0.000 0.500 0.000
Cr 0.500 0.000 0.000
Cd 0.375 0.375 0.375
Cd 0.625 0.625 0.625
Se 0.205 0.765 0.765
Se 0.235 0.235 0.235
Se 0.235 0.235 0.795
Se 0.235 0.795 0.235
Se 0.765 0.205 0.765
Se 0.765 0.765 0.205
Se 0.765 0.765 0.765
Se 0.795 0.235 0.235

Output
DFT total energy   -16.187 eV/atom
Calculated density   5.58 g/cm³
Energy of formation   -0.83 eV/atom
V   316.9 Å³/cell
Space group   Fd-3m, No. 227
Magnetic moment   12.000 Bohr magnetons per cell



# 8
Density functional theory data (r2SCAN) for a geometry-optimized CsErCdTe3 structure.

Cell lengths 8.857, 8.857, 11.802 Å; angles 90.00, 90.00, 150.52 degrees
Atoms (fractional coordinates):
Cs 0.250 0.750 0.750
Cs 0.750 0.250 0.250
Er 0.000 0.000 0.000
Er 0.000 0.000 0.500
Cd 0.461 0.539 0.250
Cd 0.539 0.461 0.750
Te 0.064 0.936 0.250
Te 0.380 0.620 0.045
Te 0.380 0.620 0.455
Te 0.620 0.380 0.545
Te 0.620 0.380 0.955
Te 0.936 0.064 0.750

Output
DFT total energy   -27.181 eV/atom
Calculated density   5.80 g/cm³
Energy of formation   -1.28 eV/atom
V   455.6 Å³/cell
Space group   Cmcm, No. 63
Magnetic moment   0.000 Bohr magnetons per cell